(1)
Here is a relaxed LiCr2S4 crystal from Materials Project. Energies are from PBE-GGA.

Values from the calculation:
- MP2020-corrected energy: -6.4624 eV per atom
- Excess energy over the best structure of this formula in the dataset: 26 meV/atom
- ΔH_f (0 K): -1.0680 eV/atom

```
LiCr2S4
1.0
-3.4687 3.5105 4.9266
3.4687 -3.5105 4.9266
3.4687 3.5105 -4.9266
Li Cr S
2 4 8
Direct
0.0000 0.0000 0.0000
0.5000 0.0000 0.5000
0.0000 0.5000 0.5000
0.5000 0.0000 0.0000
0.5000 0.5000 0.0000
0.5000 0.5000 0.5000
0.2560 0.2711 0.5151
0.2560 0.7409 0.9849
0.2562 0.7416 0.5146
0.2730 0.2584 0.0146
0.7270 0.7416 0.9854
0.7438 0.2584 0.4854
0.7440 0.2591 0.0151
0.7440 0.7289 0.4849
```

(2)
Here is a relaxed P3IrO9 crystal from Materials Project. Energies are from PBE-GGA.

Values from the calculation:
- MP2020-corrected energy: -7.5861 eV per atom
- Excess energy over the best structure of this formula in the dataset: 16 meV/atom
- ΔH_f (0 K): -2.2315 eV/atom

```
P3IrO9
1.0
6.6525 -9.7237 0.0000
6.6525 9.7237 0.0000
-5.7656 0.0000 7.5817
P Ir O
18 6 54
Direct
0.0259 0.9741 0.0000
0.0645 0.7739 0.1243
0.0815 0.7082 0.5848
0.0957 0.4887 0.6813
0.1585 0.4331 0.1818
0.3228 0.7165 0.5349
0.3613 0.3992 0.0670
0.3813 0.6522 0.0296
0.3992 0.3613 0.5670
0.4331 0.1585 0.6818
0.4887 0.0957 0.1813
0.6522 0.3813 0.5296
0.7082 0.0815 0.0848
0.7165 0.3228 0.0349
0.7458 0.8102 0.6550
0.7739 0.0645 0.6243
0.8102 0.7458 0.1550
0.9741 0.0259 0.5000
0.0543 0.2298 0.3344
0.2298 0.0543 0.8344
0.4193 0.9084 0.3677
0.5643 0.7252 0.8383
0.7252 0.5643 0.3383
0.9084 0.4193 0.8677
0.0434 0.9778 0.6108
0.0458 0.5806 0.6186
0.0470 0.3246 0.1889
0.0710 0.1351 0.4795
0.0877 0.8929 0.0737
0.1023 0.4751 0.0542
0.1351 0.0710 0.9795
0.1366 0.4149 0.5634
0.1705 0.6984 0.4888
0.1726 0.8461 0.7635
0.2049 0.8257 0.2776
0.2380 0.6127 0.8703
0.2552 0.3795 0.1385
0.2592 0.2930 0.3994
0.2797 0.5732 0.3737
0.2930 0.2592 0.8994
0.3246 0.0470 0.6889
0.3531 0.4981 0.9879
0.3795 0.2552 0.6385
0.3796 0.7145 0.7015
0.3849 0.7192 0.1978
0.3951 0.9774 0.1941
0.4149 0.1366 0.0634
0.4260 0.8444 0.5439
0.4652 0.5058 0.7236
0.4751 0.1023 0.5542
0.4981 0.3531 0.4879
0.5058 0.4652 0.2236
0.5110 0.7361 0.0265
0.5732 0.2797 0.8737
0.5806 0.0458 0.1186
0.6127 0.2380 0.3703
0.6146 0.7175 0.6502
0.6329 0.9862 0.4537
0.6741 0.9432 0.9472
0.6984 0.1705 0.9888
0.7145 0.3796 0.2015
0.7175 0.6146 0.1502
0.7192 0.3849 0.6978
0.7361 0.5110 0.5265
0.7395 0.7497 0.4831
0.7497 0.7395 0.9831
0.7784 0.9684 0.7103
0.8257 0.2049 0.7776
0.8420 0.8864 0.3108
0.8444 0.4260 0.0439
0.8461 0.1726 0.2635
0.8864 0.8420 0.8108
0.8929 0.0877 0.5737
0.9432 0.6741 0.4472
0.9684 0.7785 0.2103
0.9774 0.3951 0.6941
0.9778 0.0434 0.1108
0.9862 0.6329 0.9537
```

(3)
Here is a relaxed Na4ZrSi6O18 crystal from Materials Project. Energies are from PBE-GGA.

Values from the calculation:
- MP2020-corrected energy: -7.3921 eV per atom
- ΔH_f (0 K): -2.7213 eV/atom

```
Na4ZrSi6O18
1.0
14.2034 0.0000 0.0000
0.0000 14.9737 0.0000
0.0000 0.0000 7.6318
Na Zr Si O
16 4 24 72
Direct
0.0000 0.0000 0.0000
0.0000 0.5000 0.5000
0.2047 0.2282 0.9282
0.2047 0.2718 0.4282
0.2552 0.5031 0.9427
0.2552 0.9969 0.4427
0.2954 0.7344 0.3937
0.2954 0.7656 0.8937
0.5000 0.0000 0.8333
0.5000 0.5000 0.3333
0.7046 0.2344 0.8937
0.7046 0.2656 0.3937
0.7448 0.0031 0.4427
0.7448 0.4969 0.9427
0.7953 0.7282 0.4282
0.7953 0.7718 0.9282
0.2498 0.9998 0.9229
0.2498 0.5002 0.4229
0.7502 0.0002 0.9229
0.7502 0.4998 0.4229
0.0823 0.1284 0.6711
0.0823 0.3716 0.1711
0.1104 0.6387 0.7241
0.1104 0.8613 0.2241
0.1342 0.6538 0.1377
0.1342 0.8462 0.6377
0.3652 0.1543 0.2042
0.3652 0.3457 0.7042
0.3890 0.1394 0.6191
0.3890 0.3606 0.1191
0.4168 0.6321 0.6589
0.4168 0.8679 0.1589
0.5832 0.1321 0.1589
0.5832 0.3679 0.6589
0.6110 0.6394 0.1191
0.6110 0.8606 0.6191
0.6348 0.6543 0.7042
0.6348 0.8457 0.2042
0.8658 0.1538 0.6377
0.8658 0.3462 0.1377
0.8896 0.1387 0.2241
0.8896 0.3613 0.7241
0.9177 0.6284 0.1711
0.9177 0.8716 0.6711
0.0039 0.1274 0.2057
0.0039 0.3726 0.7057
0.0315 0.6205 0.2075
0.0315 0.8795 0.7075
0.1166 0.2319 0.6598
0.1166 0.2681 0.1598
0.1191 0.0877 0.4839
0.1191 0.4123 0.9839
0.1336 0.0747 0.8310
0.1336 0.4253 0.3310
0.1479 0.7376 0.6563
0.1479 0.7624 0.1563
0.1488 0.6311 0.9285
0.1488 0.8689 0.4285
0.1634 0.5616 0.6117
0.1634 0.9384 0.1117
0.2166 0.6046 0.2464
0.2166 0.8954 0.7464
0.2845 0.1052 0.0926
0.2845 0.3948 0.5926
0.3364 0.0606 0.7275
0.3364 0.4394 0.2275
0.3492 0.2371 0.6892
0.3492 0.2629 0.1892
0.3516 0.1309 0.4133
0.3516 0.3691 0.9133
0.3694 0.5739 0.5010
0.3694 0.9261 0.0010
0.3740 0.5958 0.8435
0.3740 0.9042 0.3435
0.3836 0.7366 0.6560
0.3836 0.7634 0.1560
0.4687 0.1237 0.1349
0.4687 0.3763 0.6349
0.4973 0.6293 0.1405
0.4973 0.8707 0.6405
0.5027 0.1293 0.6405
0.5027 0.3707 0.1405
0.5313 0.6237 0.6349
0.5313 0.8763 0.1349
0.6164 0.2366 0.1560
0.6164 0.2634 0.6560
0.6260 0.0958 0.3435
0.6260 0.4042 0.8435
0.6306 0.0739 0.0010
0.6306 0.4261 0.5010
0.6484 0.6309 0.9133
0.6484 0.8691 0.4133
0.6508 0.7371 0.1892
0.6508 0.7629 0.6892
0.6636 0.5606 0.2275
0.6636 0.9394 0.7275
0.7155 0.6052 0.5926
0.7155 0.8948 0.0926
0.7834 0.1046 0.7464
0.7834 0.3954 0.2464
0.8366 0.0616 0.1117
0.8366 0.4384 0.6117
0.8512 0.1311 0.4285
0.8512 0.3689 0.9285
0.8521 0.2376 0.1563
0.8521 0.2624 0.6563
0.8664 0.5747 0.3310
0.8664 0.9253 0.8310
0.8809 0.5877 0.9839
0.8809 0.9123 0.4839
0.8834 0.7319 0.1598
0.8834 0.7681 0.6598
0.9685 0.1205 0.7075
0.9685 0.3795 0.2075
0.9961 0.6274 0.7057
0.9961 0.8726 0.2057
```

(4)
Here is a relaxed Cs2LiTaI6 crystal from Materials Project. Energies are from PBE-GGA.

Values from the calculation:
- MP2020-corrected energy: -3.6246 eV per atom
- ΔH_f (0 K): -1.1544 eV/atom

```
Cs2LiTaI6
1.0
0.0000 5.8867 5.8867
5.8867 0.0000 5.8867
5.8867 5.8867 0.0000
Cs Li Ta I
2 1 1 6
Direct
0.2500 0.2500 0.2500
0.7500 0.7500 0.7500
0.0000 0.0000 0.0000
0.5000 0.5000 0.5000
0.2576 0.2576 0.7424
0.2576 0.7424 0.2576
0.2576 0.7424 0.7424
0.7424 0.2576 0.2576
0.7424 0.2576 0.7424
0.7424 0.7424 0.2576
```

(5)
Here is a relaxed LiAl2Rh crystal from Materials Project. Energies are from PBE-GGA.

Values from the calculation:
- ΔH_f (0 K): -0.7079 eV/atom

```
LiAl2Rh
1.0
6.0383 0.0000 0.0000
0.0000 6.0383 0.0000
0.0000 0.0000 6.0383
Li Al Rh
4 8 4
Direct
0.0000 0.0000 0.0000
0.0000 0.5000 0.5000
0.5000 0.0000 0.5000
0.5000 0.5000 0.0000
0.2500 0.2500 0.2500
0.2500 0.2500 0.7500
0.2500 0.7500 0.2500
0.2500 0.7500 0.7500
0.7500 0.2500 0.2500
0.7500 0.2500 0.7500
0.7500 0.7500 0.2500
0.7500 0.7500 0.7500
0.0000 0.0000 0.5000
0.0000 0.5000 0.0000
0.5000 0.0000 0.0000
0.5000 0.5000 0.5000
```

(6)
Here is a relaxed La2Ta3S2O8 crystal from Materials Project. Energies are from PBE-GGA.

Values from the calculation:
- MP2020-corrected energy: -9.4754 eV per atom
- ΔH_f (0 K): -3.2553 eV/atom

```
La2Ta3S2O8
1.0
9.9650 0.0000 0.0000
0.0000 11.8978 0.0000
0.0000 0.0000 7.7004
La Ta S O
8 12 8 32
Direct
0.2069 0.1644 0.0000
0.2299 0.1547 0.5000
0.2701 0.6547 0.0000
0.2931 0.6644 0.5000
0.7069 0.3356 0.5000
0.7299 0.3453 0.0000
0.7701 0.8453 0.5000
0.7931 0.8356 0.0000
0.0000 0.5000 0.2864
0.0000 0.5000 0.7136
0.1364 0.9191 0.2502
0.1364 0.9191 0.7498
0.3636 0.4191 0.2498
0.3636 0.4191 0.7502
0.5000 0.0000 0.2136
0.5000 0.0000 0.7864
0.6364 0.5809 0.2498
0.6364 0.5809 0.7502
0.8636 0.0809 0.2502
0.8636 0.0809 0.7498
0.0179 0.3469 0.5000
0.0189 0.3678 0.0000
0.4811 0.8678 0.5000
0.4821 0.8469 0.0000
0.5179 0.1531 0.0000
0.5189 0.1322 0.5000
0.9811 0.6322 0.0000
0.9821 0.6531 0.5000
0.0562 0.1030 0.2555
0.0562 0.1030 0.7445
0.1340 0.9464 0.0000
0.1510 0.9508 0.5000
0.1970 0.5250 0.2654
0.1970 0.5250 0.7346
0.2131 0.7766 0.2500
0.2131 0.7766 0.7500
0.2869 0.2766 0.2500
0.2869 0.2766 0.7500
0.3030 0.0250 0.2346
0.3030 0.0250 0.7654
0.3490 0.4508 0.0000
0.3660 0.4464 0.5000
0.4438 0.6030 0.2445
0.4438 0.6030 0.7555
0.5562 0.3970 0.2445
0.5562 0.3970 0.7555
0.6340 0.5536 0.5000
0.6510 0.5492 0.0000
0.6970 0.9750 0.2346
0.6970 0.9750 0.7654
0.7131 0.7234 0.2500
0.7131 0.7234 0.7500
0.7869 0.2234 0.2500
0.7869 0.2234 0.7500
0.8030 0.4750 0.2654
0.8030 0.4750 0.7346
0.8490 0.0492 0.5000
0.8660 0.0536 0.0000
0.9438 0.8970 0.2555
0.9438 0.8970 0.7445
```